The following is a PBE-GGA calculation of a geometry-optimized K2U2O7 structure, from Materials Project.

ΔH_f (0 K) = -3267.2 meV per atom

a b c (Å): 4.0351 6.9876 7.1825
angles (deg): 71.12 90.00 90.00
Closest atoms and distances in Å follow each position.
Atoms (fractional coordinates):
K1 0.0000 0.5009 0.5045  6 O 2.71-2.78
K2 0.5000 0.0013 0.4986  6 O 2.80-2.82
U1 0.0000 0.9814 0.0028  2 O 1.87
U2 0.5000 0.5116 0.0110  2 O 1.91
O1 0.5000 0.5899 0.7307  1 U 1.91
O2 0.0000 0.0927 0.7284  1 U 1.87
O3 0.5000 0.4168 0.2920  1 U 1.91
O4 0.0000 0.8947 0.2777  1 U 1.87
O5 0.5000 0.8477 0.9805  3 U 2.25-2.29
O6 0.0000 0.6122 0.0221  2 U 2.15
O7 0.5000 0.1938 0.0226  1 U 2.20



The following is a PBE-GGA calculation of a geometry-optimized K6U4O15 structure, from Materials Project.

ΔH_f (0 K) = -3076.9 meV per atom

a b c (Å): 7.6760 7.6760 25.0025
angles (deg): 90.00 90.00 109.05
Closest atoms and distances in Å follow each position.
Atoms (fractional coordinates):
K1 0.7501 0.2499 0.0000  12 O 3.12-3.21
K2 0.0000 0.0000 0.8802  12 O 2.99-3.32
K3 0.0000 0.5000 0.8749  6 O 2.52-2.57
K4 0.2499 0.7501 0.0000  12 O 3.12-3.21
K5 0.2499 0.7677 0.7469  11 O 3.02-3.25
K6 0.5000 0.5000 0.6206  11 O 3.02-3.16
K7 0.7501 0.2323 0.7469  11 O 3.02-3.25
K8 0.5000 0.5000 0.8843  9 O 2.89-3.22
K9 0.7412 0.2588 0.5000  11 O 3.02-3.16
K10 0.0000 0.0000 0.3706  11 O 2.99-3.16
K11 0.2588 0.7412 0.5000  11 O 3.02-3.16
K12 0.0000 0.0000 0.6294  11 O 2.99-3.16
K13 0.5000 0.5000 0.1157  9 O 2.89-3.22
K14 0.2323 0.7501 0.2531  11 O 3.02-3.25
K15 0.5000 0.0000 0.1251  6 O 2.52-2.57
K16 0.5000 0.5000 0.3794  11 O 3.02-3.16
K17 0.7677 0.2499 0.2531  11 O 3.02-3.25
K18 0.0000 0.0000 0.1198  12 O 2.99-3.32
U1 0.2437 0.2418 0.7493  2 O 1.87-1.88
U2 0.2495 0.2495 0.0000  2 O 1.90
U3 0.5000 0.0000 0.8751  2 O 1.90
U4 0.7432 0.7432 0.5000  2 O 1.87
U5 0.7563 0.7582 0.7493  2 O 1.87-1.88
U6 0.7505 0.7505 0.0000  2 O 1.90
U7 0.0000 0.5000 0.6249  2 O 1.87
U8 0.2568 0.2568 0.5000  2 O 1.87
U9 0.5000 0.0000 0.3751  2 O 1.87
U10 0.7582 0.7563 0.2507  2 O 1.87-1.88
U11 0.0000 0.5000 0.1249  2 O 1.90
U12 0.2418 0.2437 0.2507  2 O 1.87-1.88
O1 0.8562 0.6435 0.9458  1 U 1.90
O2 0.8750 0.6243 0.0640  2 U 2.18-2.24
O3 0.0000 0.0000 0.0000  2 U 2.22
O4 0.1555 0.3669 0.8018  1 U 1.88
O5 0.3565 0.1438 0.0542  1 U 1.90
O6 0.3664 0.1537 0.6963  1 U 1.87
O7 0.3757 0.1250 0.9360  2 U 2.18-2.24
O8 0.3825 0.1401 0.8087  2 U 2.12-2.32
O9 0.1250 0.3757 0.0640  2 U 2.18-2.24
O10 0.1438 0.3565 0.9458  1 U 1.90
O11 0.6553 0.8656 0.5526  1 U 1.87
O12 0.2857 0.7891 0.8724  1 U 1.90
O13 0.7143 0.2109 0.8724  1 U 1.90
O14 0.8656 0.6553 0.4474  1 U 1.87
O15 0.5000 0.5000 0.0000  2 U 2.23
O16 0.6243 0.8750 0.9360  2 U 2.18-2.24
O17 0.8820 0.6389 0.5608  2 U 2.16-2.27
O18 0.8607 0.6184 0.6887  2 U 2.16-2.27
O19 0.6175 0.8599 0.8087  2 U 2.12-2.32
O20 0.6336 0.8463 0.6963  1 U 1.87
O21 0.6435 0.8562 0.0542  1 U 1.90
O22 0.7904 0.2904 0.6252  1 U 1.87
O23 0.3669 0.1555 0.1982  1 U 1.88
O24 0.2096 0.7096 0.6252  1 U 1.87
O25 0.8445 0.6331 0.8018  1 U 1.88
O26 0.3611 0.1180 0.4392  2 U 2.16-2.27
O27 0.0000 0.0000 0.7488  2 U 2.16
O28 0.1393 0.3816 0.6887  2 U 2.16-2.27
O29 0.3816 0.1393 0.3113  2 U 2.16-2.27
O30 0.1180 0.3611 0.5608  2 U 2.16-2.27
O31 0.1344 0.3447 0.4474  1 U 1.87
O32 0.2904 0.7904 0.3748  1 U 1.87
O33 0.7096 0.2096 0.3748  1 U 1.87
O34 0.8463 0.6336 0.3037  1 U 1.87
O35 0.3447 0.1344 0.5526  1 U 1.87
O36 0.6389 0.8820 0.4392  2 U 2.16-2.27
O37 0.8599 0.6175 0.1913  2 U 2.12-2.32
O38 0.5000 0.5000 0.5000  2 U 2.17
O39 0.6184 0.8607 0.3113  2 U 2.16-2.27
O40 0.6331 0.8445 0.1982  1 U 1.88
O41 0.7891 0.2857 0.1276  1 U 1.90
O42 0.2109 0.7143 0.1276  1 U 1.90
O43 0.1401 0.3825 0.1913  2 U 2.12-2.32
O44 0.0000 0.0000 0.2512  2 U 2.16
O45 0.1537 0.3664 0.3037  1 U 1.87



The following is a PBE-GGA calculation of a geometry-optimized KUO3 structure, from Materials Project.

ΔH_f (0 K) = -3339.3 meV per atom

a b c (Å): 4.3315 4.3315 4.3315
angles (deg): 90.00 90.00 90.00
Closest atoms and distances in Å follow each position.
Atoms (fractional coordinates):
K1 0.5000 0.5000 0.5000  12 O 3.06
U1 0.0000 0.0000 0.0000  6 O 2.17
O1 0.0000 0.5000 0.0000  2 U 2.17
O2 0.0000 0.0000 0.5000  2 U 2.17
O3 0.5000 0.0000 0.0000  2 U 2.17



| no. | electronic total energy (eV per formula unit) |
| --- | --- |
| 1 | -90.6 |
| 2 | -192.7 |
| 3 | -41.9 |